Record 1
Compound: SrEuVWO6
Source: the Materials Project
Functional: GGA+U
Structure: optimized geometry

Properties
- calculated volume (A^3/atom) = 13.1

a b c (Å): 5.7043 5.7043 5.7043
angles (deg): 60.00 60.00 60.00
Closest atoms and distances in Å follow each position.
Positions (direct):
Sr  0.2500  0.2500  0.2500  12 O 2.85
Eu  0.7500  0.7500  0.7500  12 O 2.85
V  0.0000  0.0000  0.0000  6 O 2.08
W  0.5000  0.5000  0.5000  6 O 1.96
O  0.7423  0.2577  0.2577  1 W 1.96, 1 V 2.08
O  0.2577  0.7423  0.7423  1 W 1.96, 1 V 2.08
O  0.7423  0.2577  0.7423  1 W 1.96, 1 V 2.08
O  0.2577  0.7423  0.2577  1 W 1.96, 1 V 2.08
O  0.7423  0.7423  0.2577  1 W 1.96, 1 V 2.08
O  0.2577  0.2577  0.7423  1 W 1.96, 1 V 2.08

***

Record 2
Compound: SrEuW4O12
Source: the Materials Project
Functional: GGA+U
Structure: optimized geometry

Properties
- calculated volume (A^3/atom) = 14.0

a b c (Å): 5.5977 5.5977 8.0600
angles (deg): 90.00 90.00 89.97
Closest atoms and distances in Å follow each position.
Positions (direct):
Sr  0.0047  0.0047  0.0000  6 O 2.59-2.87
Eu  0.4991  0.4991  0.5000  10 O 2.65-2.95
W  0.5010  0.0001  0.7498  6 O 1.99-2.03
W  0.5010  0.0001  0.2502  6 O 1.99-2.03
W  0.0001  0.5010  0.2502  6 O 1.99-2.03
W  0.0001  0.5010  0.7498  6 O 1.99-2.03
O  0.7238  0.2765  0.7455  2 W 1.99
O  0.2765  0.7238  0.7455  2 W 1.99
O  0.2765  0.7238  0.2545  2 W 1.99
O  0.7238  0.2765  0.2545  2 W 1.99
O  0.7671  0.7671  0.7714  2 W 1.99
O  0.2389  0.2389  0.7276  2 W 1.99
O  0.2389  0.2389  0.2724  2 W 1.99
O  0.7671  0.7671  0.2286  2 W 1.99
O  0.4673  0.0153  0.0000  2 W 2.03
O  0.5245  0.9735  0.5000  2 W 2.02
O  0.0153  0.4673  0.0000  2 W 2.03
O  0.9735  0.5245  0.5000  2 W 2.02

***

Record 3
Compound: SrEuYWO6
Source: the Materials Project
Functional: GGA+U
Structure: optimized geometry

Properties
- calculated volume (A^3/atom) = 14.8

a b c (Å): 5.9399 5.9399 5.9399
angles (deg): 60.00 60.00 60.00
Closest atoms and distances in Å follow each position.
Positions (direct):
Sr  0.2500  0.2500  0.2500  12 O 2.97
Eu  0.7500  0.7500  0.7500  12 O 2.97
Y  0.5000  0.5000  0.5000  6 O 2.21
W  0.0000  0.0000  0.0000  6 O 1.99
O  0.7631  0.2369  0.2369  1 W 1.99, 1 Y 2.21
O  0.2369  0.7631  0.7631  1 W 1.99, 1 Y 2.21
O  0.7631  0.2369  0.7631  1 W 1.99, 1 Y 2.21
O  0.2369  0.7631  0.2369  1 W 1.99, 1 Y 2.21
O  0.7631  0.7631  0.2369  1 W 1.99, 1 Y 2.21
O  0.2369  0.2369  0.7631  1 W 1.99, 1 Y 2.21

***

Record 4
Compound: SrEuZnWO6
Source: the Materials Project
Functional: GGA+U
Structure: optimized geometry

Properties
- calculated volume (A^3/atom) = 13.1

a b c (Å): 5.6974 5.6974 5.6974
angles (deg): 60.00 60.00 60.00
Closest atoms and distances in Å follow each position.
Positions (direct):
Sr  0.7500  0.7500  0.7500  12 O 2.85
Eu  0.2500  0.2500  0.2500  12 O 2.85
Zn  0.0000  0.0000  0.0000  6 O 2.08
W  0.5000  0.5000  0.5000  6 O 1.95
O  0.7416  0.2584  0.2584  1 W 1.95, 1 Zn 2.08
O  0.2584  0.7416  0.7416  1 W 1.95, 1 Zn 2.08
O  0.7416  0.2584  0.7416  1 W 1.95, 1 Zn 2.08
O  0.2584  0.7416  0.2584  1 W 1.95, 1 Zn 2.08
O  0.7416  0.7416  0.2584  1 W 1.95, 1 Zn 2.08
O  0.2584  0.2584  0.7416  1 W 1.95, 1 Zn 2.08

***

Record 5
Compound: TbEu2VO6
Source: the Materials Project
Functional: GGA+U
Structure: optimized geometry

Properties
- calculated volume (A^3/atom) = 14.0

a b c (Å): 5.8238 5.8238 5.8238
angles (deg): 60.00 60.00 60.00
Closest atoms and distances in Å follow each position.
Positions (direct):
Tb  0.0000  0.0000  0.0000  6 O 2.21
Eu  0.2500  0.2500  0.2500  12 O 2.92
Eu  0.7500  0.7500  0.7500  12 O 2.92
V  0.5000  0.5000  0.5000  6 O 1.91
O  0.7319  0.2681  0.2681  1 V 1.91
O  0.2681  0.7319  0.7319  1 V 1.91
O  0.7319  0.2681  0.7319  1 V 1.91
O  0.2681  0.7319  0.2681  1 V 1.91
O  0.7319  0.7319  0.2681  1 V 1.91
O  0.2681  0.2681  0.7319  1 V 1.91

***

Record 6
Compound: EuVO3
Source: the Materials Project
Functional: GGA+U
Structure: optimized geometry

Properties
- calculated volume (A^3/atom) = 11.8

a b c (Å): 5.4837 5.5581 7.7455
angles (deg): 90.00 90.00 90.00
Closest atoms and distances in Å follow each position.
Positions (direct):
Eu  0.9927  0.0394  0.2500  8 O 2.42-2.70
Eu  0.4927  0.4606  0.7500  8 O 2.42-2.70
Eu  0.5073  0.5394  0.2500  8 O 2.42-2.70
Eu  0.0073  0.9606  0.7500  8 O 2.42-2.70
V  0.5000  0.0000  0.0000  6 O 1.97-2.02
V  0.5000  0.0000  0.5000  6 O 1.97-2.02
V  0.0000  0.5000  0.0000  6 O 1.97-2.02
V  0.0000  0.5000  0.5000  6 O 1.97-2.02
O  0.5691  0.0147  0.7500  2 V 1.97
O  0.2151  0.2091  0.5366  2 V 1.97-2.02
O  0.2151  0.2091  0.9634  2 V 1.97-2.02
O  0.7151  0.2909  0.0366  2 V 1.97-2.02
O  0.7151  0.2909  0.4634  2 V 1.97-2.02
O  0.0691  0.4853  0.2500  2 V 1.97
O  0.9309  0.5147  0.7500  2 V 1.97
O  0.2849  0.7091  0.9634  2 V 1.97-2.02
O  0.2849  0.7091  0.5366  2 V 1.97-2.02
O  0.7849  0.7909  0.0366  2 V 1.97-2.02
O  0.7849  0.7909  0.4634  2 V 1.97-2.02
O  0.4309  0.9853  0.2500  2 V 1.97

***

Record 7
Compound: Eu2VO4
Source: the Materials Project
Functional: GGA+U
Structure: optimized geometry

Properties
- calculated volume (A^3/atom) = 13.4

a b c (Å): 3.8664 3.8664 6.8409
angles (deg): 106.42 106.42 90.00
Closest atoms and distances in Å follow each position.
Positions (direct):
Eu  0.6454  0.6454  0.2908  1 O 2.34
Eu  0.3546  0.3546  0.7092  1 O 2.34
V  0.0000  0.0000  0.0000  6 O 1.93-2.11
O  0.8319  0.8319  0.6638  1 V 2.11, 1 Eu 2.34
O  0.1681  0.1681  0.3362  1 V 2.11, 1 Eu 2.34
O  0.0000  0.5000  0.0000  2 V 1.93
O  0.5000  0.0000  0.0000  2 V 1.93

***

Record 8
Compound: EuVO3
Source: the Materials Project
Functional: GGA+U
Structure: optimized geometry

Properties
- calculated volume (A^3/atom) = 11.8

a b c (Å): 3.8800 3.9256 3.8819
angles (deg): 90.21 90.69 90.22
Closest atoms and distances in Å follow each position.
Positions (direct):
Eu  0.0000  0.0000  0.0000  12 O 2.73-2.77
V  0.5000  0.5000  0.5000  6 O 1.94-1.96
O  0.0000  0.5000  0.5000  2 V 1.94
O  0.5000  0.0000  0.5000  2 V 1.96
O  0.5000  0.5000  0.0000  2 V 1.94

***

Record 9
Compound: Eu3V2O7
Source: the Materials Project
Functional: GGA+U
Structure: optimized geometry

Properties
- calculated volume (A^3/atom) = 12.8

a b c (Å): 10.6224 10.6224 10.6224
angles (deg): 158.99 158.99 29.89
Closest atoms and distances in Å follow each position.
Positions (direct):
Eu  0.3149  0.3149  0.0000  5 O 2.36-2.64
Eu  0.6851  0.6851  0.0000  5 O 2.36-2.64
Eu  0.5000  0.5000  0.0000  12 O 2.74-2.79
V  0.0979  0.0979  0.0000  6 O 1.94-2.09
V  0.9021  0.9021  0.0000  6 O 1.94-2.09
O  0.5975  0.0975  0.5000  2 V 1.94
O  0.4025  0.9025  0.5000  2 V 1.94
O  0.0975  0.5975  0.5000  2 V 1.94
O  0.9025  0.4025  0.5000  2 V 1.94
O  0.1999  0.1999  0.0000  1 V 2.09
O  0.8001  0.8001  0.0000  1 V 2.09
O  0.0000  0.0000  0.0000  2 V 2.01

***

Number 1: ΔH_f (0 K) -2763 meV per atom. Number 2: ΔH_f (0 K) -2409 meV per atom. Number 3: ΔH_f (0 K) -3002 meV per atom. Number 4: ΔH_f (0 K) -2641 meV per atom. Number 5: ΔH_f (0 K) -3126 meV per atom. Number 6: ΔH_f (0 K) -2967 meV per atom. Number 7: ΔH_f (0 K) -3089 meV per atom. Number 8: ΔH_f (0 K) -2919 meV per atom. Number 9: ΔH_f (0 K) -3008 meV per atom.